# 1
Crystalline Tl3GeTe3 at its relaxed geometry. Source: the Materials Project, functional PBE.

Structure (CIF):
```
data_Tl3GeTe3
_chemical_formula_sum 'Tl12 Ge4 Te12'
_symmetry_space_group_name_H-M 'P -1'
_symmetry_Int_Tables_number 2
_symmetry_space_group_name_Hall '-P 1'
_cell_length_a 9.8427
_cell_length_b 10.0068
_cell_length_c 10.7306
_cell_angle_alpha 89.60
_cell_angle_beta 82.84
_cell_angle_gamma 79.15
loop_
_atom_site_label
_atom_site_type_symbol
_atom_site_fract_x
_atom_site_fract_y
_atom_site_fract_z
Tl1 Tl 0.0114 0.3692 0.3492
Tl2 Tl 0.1443 0.2285 0.9106
Tl3 Tl 0.1913 0.7158 0.2408
Tl4 Tl 0.3148 0.8359 0.8372
Tl5 Tl 0.3778 0.0481 0.3482
Tl6 Tl 0.4016 0.4273 0.6599
Ge1 Ge 0.0764 0.9853 0.5855
Ge2 Ge 0.4089 0.4281 0.0165
Te1 Te 0.0764 0.0639 0.2084
Te2 Te 0.1715 0.2140 0.5912
Te3 Te 0.1873 0.5580 0.9236
Te4 Te 0.2813 0.7774 0.5289
Te5 Te 0.3708 0.3845 0.2581
Te6 Te 0.4965 0.2018 0.8876
```

Calculated values
VASP energy in eV/atom: -3.28
Formation enthalpy at 0 K in eV/atom: -0.4385

# 2
Crystalline Tl2GeTe5 at its relaxed geometry. Source: the Materials Project, functional PBE.

Structure (CIF):
```
data_Tl2GeTe5
_chemical_formula_sum 'Tl8 Ge4 Te20'
_symmetry_space_group_name_H-M 'P 4/m b m'
_symmetry_Int_Tables_number 127
_symmetry_space_group_name_Hall '-P 4 2ab'
_cell_length_a 8.4961
_cell_length_b 8.4961
_cell_length_c 15.1003
_cell_angle_alpha 90.00
_cell_angle_beta 90.00
_cell_angle_gamma 90.00
loop_
_atom_site_label
_atom_site_type_symbol
_atom_site_fract_x
_atom_site_fract_y
_atom_site_fract_z
Tl1 Tl 0.0000 0.0000 0.1209
Tl2 Tl 0.0000 0.0000 0.3776
Ge1 Ge 0.0000 0.5000 0.1184
Te1 Te 0.0000 0.5000 0.3720
Te2 Te 0.1671 0.3329 0.0000
Te3 Te 0.1781 0.6781 0.2199
Te4 Te 0.1866 0.6866 0.5000
```

Calculated values
VASP energy in eV/atom: -3.28
Formation enthalpy at 0 K in eV/atom: -0.4136

# 3
Crystalline UGeTe at its relaxed geometry. Source: the Materials Project, functional PBE.

Structure (CIF):
```
data_UGeTe
_chemical_formula_sum 'U4 Ge4 Te4'
_symmetry_space_group_name_H-M 'I 4/m m m'
_symmetry_Int_Tables_number 139
_symmetry_space_group_name_Hall '-I 4 2'
_cell_length_a 4.1113
_cell_length_b 4.1113
_cell_length_c 17.5234
_cell_angle_alpha 90.00
_cell_angle_beta 90.00
_cell_angle_gamma 90.00
loop_
_atom_site_label
_atom_site_type_symbol
_atom_site_fract_x
_atom_site_fract_y
_atom_site_fract_z
U1 U 0.0000 0.0000 0.1226
Ge1 Ge 0.0000 0.5000 0.0000
Te1 Te 0.0000 0.0000 0.3153
```

Calculated values
VASP energy in eV/atom: -6.86
Formation enthalpy at 0 K in eV/atom: -0.6461
Total moment in μB/atom: 0.678

# 4
Crystalline ZrGeTe4 at its relaxed geometry. Source: the Materials Project, functional PBE.

Structure (CIF):
```
data_ZrGeTe4
_chemical_formula_sum 'Zr4 Ge4 Te16'
_symmetry_space_group_name_H-M 'C m c 21'
_symmetry_Int_Tables_number 36
_symmetry_space_group_name_Hall 'C 2c -2'
_cell_length_a 4.0266
_cell_length_b 17.1160
_cell_length_c 11.1442
_cell_angle_alpha 90.00
_cell_angle_beta 90.00
_cell_angle_gamma 90.00
loop_
_atom_site_label
_atom_site_type_symbol
_atom_site_fract_x
_atom_site_fract_y
_atom_site_fract_z
Zr1 Zr 0.0000 0.1564 0.0000
Ge1 Ge 0.0000 0.2704 0.8096
Te1 Te 0.0000 0.1255 0.2735
Te2 Te 0.0000 0.2241 0.5748
Te3 Te 0.0000 0.3939 0.3139
Te4 Te 0.0000 0.4706 0.5323
```

Calculated values
Maximum piezoelectric response in C/m²: 0.57
VASP energy in eV/atom: -4.81
Formation enthalpy at 0 K in eV/atom: -0.7973

# 5
Crystalline ZrGeTe at its relaxed geometry. Source: the Materials Project, functional PBE.

Structure (CIF):
```
data_ZrGeTe
_chemical_formula_sum 'Zr2 Ge2 Te2'
_symmetry_space_group_name_H-M 'P 4/n m m'
_symmetry_Int_Tables_number 129
_cell_length_a 3.8240
_cell_length_b 3.8240
_cell_length_c 9.3004
_cell_angle_alpha 90.00
_cell_angle_beta 90.00
_cell_angle_gamma 90.00
loop_
_symmetry_equiv_pos_as_xyz
'x,y,z'
'-x,-y,-z'
'-y+1/2,x,z'
'y+1/2,-x,-z'
'-x+1/2,-y+1/2,z'
'x+1/2,y+1/2,-z'
'y,-x+1/2,z'
'-y,x+1/2,-z'
'x+1/2,-y,-z'
'-x+1/2,y,z'
'-y,-x,-z'
'y,x,z'
'-x,y+1/2,-z'
'x,-y+1/2,z'
'y+1/2,x+1/2,-z'
'-y+1/2,-x+1/2,z'
loop_
_atom_site_label
_atom_site_type_symbol
_atom_site_fract_x
_atom_site_fract_y
_atom_site_fract_z
Zr1 Zr 0.2500 0.2500 0.2330
Ge1 Ge 0.2500 0.7500 0.0000
Te1 Te 0.2500 0.2500 0.6350
```

Calculated values
VASP energy in eV/atom: -6.22
Formation enthalpy at 0 K in eV/atom: -0.9235

# 6
Crystalline ThGe2 at its relaxed geometry. Source: the Materials Project, functional PBE.

Structure (CIF):
```
data_ThGe2
_chemical_formula_sum 'Th4 Ge8'
_symmetry_space_group_name_H-M 'I 41/a m d'
_symmetry_Int_Tables_number 141
_cell_length_a 4.0691
_cell_length_b 4.0691
_cell_length_c 16.8059
_cell_angle_alpha 90.00
_cell_angle_beta 90.00
_cell_angle_gamma 90.00
loop_
_symmetry_equiv_pos_as_xyz
'x,y,z'
'-x,-y,-z'
'-y+1/4,x+3/4,z+1/4'
'y+1/4,-x+3/4,-z+1/4'
'-x+1/2,-y,z+1/2'
'x+1/2,y,-z+1/2'
'y+1/4,-x+1/4,z+3/4'
'-y+1/4,x+1/4,-z+3/4'
'x,-y,-z'
'-x,y,z'
'-y+1/4,-x+1/4,-z+3/4'
'y+1/4,x+1/4,z+3/4'
'-x+1/2,y,-z+1/2'
'x+1/2,-y,z+1/2'
'y+1/4,x+3/4,-z+1/4'
'-y+1/4,-x+3/4,z+1/4'
'x+1/2,y+1/2,z+1/2'
'-x+1/2,-y+1/2,-z+1/2'
'-y+3/4,x+1/4,z+3/4'
'y+3/4,-x+1/4,-z+3/4'
'-x,-y+1/2,z'
'x,y+1/2,-z'
'y+3/4,-x+3/4,z+1/4'
'-y+3/4,x+3/4,-z+1/4'
'x+1/2,-y+1/2,-z+1/2'
'-x+1/2,y+1/2,z+1/2'
'-y+3/4,-x+3/4,-z+1/4'
'y+3/4,x+3/4,z+1/4'
'-x,y+1/2,-z'
'x,-y+1/2,z'
'y+3/4,x+1/4,-z+3/4'
'-y+3/4,-x+1/4,z+3/4'
loop_
_atom_site_label
_atom_site_type_symbol
_atom_site_fract_x
_atom_site_fract_y
_atom_site_fract_z
Th1 Th 0.0000 0.2500 0.3750
Ge1 Ge 0.0000 0.2500 0.7951
```

Calculated values
VASP energy in eV/atom: -6.08
Formation enthalpy at 0 K in eV/atom: -0.5259
Total moment in μB/atom: 0.000

# 7
Crystalline ThGe2 at its relaxed geometry. Source: the Materials Project, functional PBE.

Structure (CIF):
```
data_ThGe2
_chemical_formula_sum 'Th4 Ge8'
_symmetry_space_group_name_H-M 'C m m m'
_symmetry_Int_Tables_number 65
_symmetry_space_group_name_Hall '-C 2 2'
_cell_length_a 4.0710
_cell_length_b 16.5973
_cell_length_c 4.2004
_cell_angle_alpha 90.00
_cell_angle_beta 90.00
_cell_angle_gamma 90.00
loop_
_atom_site_label
_atom_site_type_symbol
_atom_site_fract_x
_atom_site_fract_y
_atom_site_fract_z
Th1 Th 0.0000 0.1388 0.0000
Ge1 Ge 0.0000 0.0000 0.5000
Ge2 Ge 0.0000 0.2993 0.5000
Ge3 Ge 0.0000 0.5000 0.0000
```

Calculated values
VASP energy in eV/atom: -6.19
Formation enthalpy at 0 K in eV/atom: -0.6381

# 8
Crystalline Th3Ge2 at its relaxed geometry. Source: the Materials Project, functional PBE.

Structure (CIF):
```
data_Th3Ge2
_chemical_formula_sum 'Th6 Ge4'
_symmetry_space_group_name_H-M 'P 4/m b m'
_symmetry_Int_Tables_number 127
_symmetry_space_group_name_Hall '-P 4 2ab'
_cell_length_a 8.0177
_cell_length_b 8.0177
_cell_length_c 4.1398
_cell_angle_alpha 90.00
_cell_angle_beta 90.00
_cell_angle_gamma 90.00
loop_
_atom_site_label
_atom_site_type_symbol
_atom_site_fract_x
_atom_site_fract_y
_atom_site_fract_z
Th1 Th 0.0000 0.0000 0.0000
Th2 Th 0.1769 0.3231 0.5000
Ge1 Ge 0.1210 0.6210 0.0000
```

Calculated values
VASP energy in eV/atom: -6.99
Formation enthalpy at 0 K in eV/atom: -0.6955

# 9
Crystalline Th2Ge3 at its relaxed geometry. Source: the Materials Project, functional PBE.

Structure (CIF):
```
data_Th2Ge3
_chemical_formula_sum 'Th2 Ge3'
_symmetry_space_group_name_H-M 'P -6 m 2'
_symmetry_Int_Tables_number 187
_symmetry_space_group_name_Hall 'P -6 2'
_cell_length_a 4.2814
_cell_length_b 4.2814
_cell_length_c 7.9327
_cell_angle_alpha 90.00
_cell_angle_beta 90.00
_cell_angle_gamma 120.00
loop_
_atom_site_label
_atom_site_type_symbol
_atom_site_fract_x
_atom_site_fract_y
_atom_site_fract_z
Th1 Th 0.0000 0.0000 0.2356
Ge1 Ge 0.3333 0.6667 0.5000
Ge2 Ge 0.6667 0.3333 0.0000
Ge3 Ge 0.6667 0.3333 0.5000
```

Calculated values
VASP energy in eV/atom: -6.26
Formation enthalpy at 0 K in eV/atom: -0.5242
Total moment in μB/atom: 0.000

# 10
Crystalline ThGe2 at its relaxed geometry. Source: the Materials Project, functional PBE.

Structure (CIF):
```
data_ThGe2
_chemical_formula_sum 'Th4 Ge8'
_symmetry_space_group_name_H-M 'C m c m'
_symmetry_Int_Tables_number 63
_symmetry_space_group_name_Hall '-C 2c 2'
_cell_length_a 4.1755
_cell_length_b 16.9107
_cell_length_c 4.0319
_cell_angle_alpha 90.00
_cell_angle_beta 90.00
_cell_angle_gamma 90.00
loop_
_atom_site_label
_atom_site_type_symbol
_atom_site_fract_x
_atom_site_fract_y
_atom_site_fract_z
Th1 Th 0.0000 0.1075 0.2500
Ge1 Ge 0.0000 0.2512 0.7500
Ge2 Ge 0.0000 0.4511 0.2500
```

Calculated values
VASP energy in eV/atom: -6.16
Formation enthalpy at 0 K in eV/atom: -0.6073

# 11
Crystalline Ti2Ge at its relaxed geometry. Source: the Materials Project, functional PBE.

Structure (CIF):
```
data_Ti2Ge
_chemical_formula_sum 'Ti8 Ge4'
_symmetry_space_group_name_H-M 'F -4 3 m'
_symmetry_Int_Tables_number 216
_symmetry_space_group_name_Hall 'F -4 2 3'
_cell_length_a 6.2089
_cell_length_b 6.2089
_cell_length_c 6.2089
_cell_angle_alpha 90.00
_cell_angle_beta 90.00
_cell_angle_gamma 90.00
loop_
_atom_site_label
_atom_site_type_symbol
_atom_site_fract_x
_atom_site_fract_y
_atom_site_fract_z
Ti1 Ti 0.0000 0.0000 0.0000
Ti2 Ti 0.2500 0.2500 0.2500
Ge1 Ge 0.0000 0.0000 0.5000
```

Calculated values
VASP energy in eV/atom: -6.57
Formation enthalpy at 0 K in eV/atom: 0.2303
Total moment in μB/atom: 1.303

# 12
Crystalline Ti5Ge4 at its relaxed geometry. Source: the Materials Project, functional PBE.

Structure (CIF):
```
data_Ti5Ge4
_chemical_formula_sum 'Ti20 Ge16'
_symmetry_space_group_name_H-M 'P n m a'
_symmetry_Int_Tables_number 62
_symmetry_space_group_name_Hall '-P 2ac 2n'
_cell_length_a 6.6821
_cell_length_b 12.8885
_cell_length_c 6.7759
_cell_angle_alpha 90.00
_cell_angle_beta 90.00
_cell_angle_gamma 90.00
loop_
_atom_site_label
_atom_site_type_symbol
_atom_site_fract_x
_atom_site_fract_y
_atom_site_fract_z
Ti1 Ti 0.0149 0.0937 0.1784
Ti2 Ti 0.1493 0.6259 0.3340
Ti3 Ti 0.1736 0.2500 0.5052
Ge1 Ge 0.0466 0.2500 0.8893
Ge2 Ge 0.1817 0.7500 0.6527
Ge3 Ge 0.1932 0.0398 0.5364
```

Calculated values
VASP energy in eV/atom: -7.13
Formation enthalpy at 0 K in eV/atom: -0.6859

- What is the VASP energy in the third record?
  -6.86 eV/atom